This record from the Materials Project database describes Eu2O3 after structural relaxation. The functional is PBE-GGA.

a b c (Å): 10.974 10.974 10.974
angles (deg): 90.00 90.00 90.00
Space group Ia-3 (No. 206)
Unique sites:
Eu 0.000 0.000 0.000 x8
Eu 0.000 0.250 0.281 x24
O 0.099 0.138 0.631 x48

**Crystal system**: cubic
**Energy**: -787.50 eV per cell
**Energy of formation from the pure elements**: -3.18 eV/atom